(1)
Material: Li10Zn3Ge4O16
Method: DFT, GGA-PBE
State: relaxed

Computed properties:
The value obtained for the total energy is -5.466 eV per atom. As for the calculated formation energy: -2.146 eV/atom. The value obtained for the total magnetization is 0.003 μB/f.u. The energy above the most stable polymorph in this dataset is 86 meV per atom.

Cell and atoms, written as POSCAR:
```
Li10Zn3Ge4O16
1.0
-2.302 0.739 4.800
-5.560 -2.213 -2.516
3.269 -10.202 2.735
Ge Li O Zn
4 10 16 3
Cartesian
1.200 -9.647 2.786 Ge
-1.007 -4.439 2.032 Ge
-6.191 -1.988 2.277 Ge
-3.963 -7.105 3.071 Ge
-1.516 -5.768 4.860 Li
-5.563 -3.703 -0.004 Li
-2.676 -0.762 2.569 Li
-2.308 -8.998 4.977 Li
-0.976 -2.965 4.818 Li
-2.483 -1.604 -0.990 Li
-0.651 -2.406 0.397 Li
-1.928 -10.787 2.343 Li
-3.330 -2.650 0.896 Li
-3.887 -7.120 -0.088 Li
0.297 -3.227 1.869 O
-3.008 -7.166 1.595 O
-0.087 -5.954 1.915 O
0.304 -6.120 5.565 O
-1.373 -1.160 3.983 O
-1.900 -4.248 3.570 O
-2.853 -7.239 4.464 O
1.957 -8.460 3.799 O
-4.926 -5.608 3.209 O
-2.000 -3.980 0.613 O
-0.498 -9.388 2.279 O
-0.414 -9.340 5.950 O
-4.382 -2.300 2.496 O
-2.970 -10.658 4.104 O
-2.009 -1.086 0.804 O
-4.339 -2.383 -0.826 O
-1.134 -7.619 1.625 Zn
0.955 -7.923 5.435 Zn
-3.914 -3.998 3.624 Zn
```

(2)
Material: Tc3Pd
Method: DFT, GGA-PBE
State: relaxed

Computed properties:
The value obtained for the total energy is -9.051 eV per atom. As for the calculated formation energy: 0.015 eV/atom. The value obtained for the total magnetization is 0.011 μB/f.u. The energy above the most stable polymorph in this dataset is 93 meV per atom.

Cell and atoms, written as POSCAR:
```
Tc3Pd
1.0
1.376 -2.383 0.000
1.376 2.383 0.000
0.000 0.000 8.965
Pd Tc
1 3
Cartesian
1.376 0.794 4.482 Pd
1.376 0.794 0.000 Tc
1.376 -0.794 6.775 Tc
1.376 -0.794 2.190 Tc
```

(3)
Material: TiCrAgS4
Method: DFT, GGA-PBE
State: relaxed

Computed properties:
The value obtained for the total energy is -5.906 eV per atom. As for the calculated formation energy: -0.919 eV/atom. The value obtained for the total magnetization is 2.009 μB/f.u. The energy above the most stable polymorph in this dataset is 188 meV per atom.

Cell and atoms, written as POSCAR:
```
TiCrAgS4
1.0
5.785 0.000 0.000
0.000 8.450 0.000
0.000 0.000 12.622
Ti Ag S Cr
4 4 16 4
Cartesian
3.527 4.225 12.036 Ti
2.258 0.000 5.726 Ti
4.254 4.225 9.226 Ti
1.531 0.000 2.915 Ti
3.402 4.225 4.014 Ag
5.504 0.000 7.748 Ag
0.281 4.225 1.438 Ag
2.383 0.000 10.325 Ag
2.694 4.225 7.540 S
5.728 1.651 2.222 S
0.090 0.000 11.425 S
2.920 6.811 4.249 S
2.867 4.225 1.545 S
2.918 0.000 7.856 S
2.865 2.586 10.560 S
5.728 6.800 2.222 S
5.695 4.225 5.114 S
2.865 5.865 10.560 S
3.090 0.000 1.229 S
0.057 2.574 8.533 S
2.920 1.640 4.249 S
0.057 5.876 8.533 S
0.067 0.000 5.164 S
5.718 4.225 11.475 S
4.359 0.000 3.301 Cr
1.426 4.225 9.612 Cr
0.537 4.225 7.099 Cr
5.248 0.000 0.788 Cr
```

(4)
Material: Rb2NdI5
Method: DFT, GGA-PBE
State: relaxed

Computed properties:
The value obtained for the total energy is -3.284 eV per atom. As for the calculated formation energy: -1.727 eV/atom.

Cell and atoms, written as POSCAR:
```
Rb2NdI5
1.0
-1.584 -8.257 -4.408
5.838 2.940 -7.604
12.043 -6.007 6.923
I Rb Nd
20 8 4
Cartesian
9.629 -4.773 2.241 I
13.252 -5.894 4.590 I
5.879 -1.965 -6.163 I
5.837 -10.228 -0.060 I
13.803 -6.752 0.789 I
8.059 -2.305 -1.902 I
8.238 -9.019 -3.187 I
10.417 -9.360 1.074 I
0.093 -5.781 -2.750 I
9.597 -5.668 -4.741 I
3.318 -3.282 -2.027 I
2.494 -4.572 -5.878 I
12.307 -2.852 -1.572 I
3.045 -5.431 -9.679 I
10.460 -1.096 -5.030 I
12.979 -8.042 -3.062 I
6.700 -5.656 -0.348 I
6.668 -6.551 -7.331 I
3.990 -8.472 -3.518 I
16.204 -5.543 -2.339 I
7.813 1.432 -6.622 Rb
10.342 -6.233 -1.130 Rb
4.937 -0.016 -2.876 Rb
11.360 -11.308 -2.213 Rb
3.079 -6.539 -0.213 Rb
8.484 -12.756 1.533 Rb
5.955 -5.091 -3.959 Rb
13.218 -4.785 -4.876 Rb
3.516 -2.591 -8.219 Nd
12.781 -8.733 3.130 Nd
8.992 -8.441 -6.277 Nd
7.305 -2.883 1.188 Nd
```

(5)
Material: Th2MnSi3
Method: DFT, GGA-PBE
State: relaxed

Computed properties:
The value obtained for the total energy is -7.322 eV per atom. As for the calculated formation energy: -0.575 eV/atom. The value obtained for the total magnetization is 1.752 μB/f.u.

Cell and atoms, written as POSCAR:
```
Th2MnSi3
1.0
-4.895 -5.752 1.692
-7.560 -1.312 -1.022
6.873 2.157 -2.833
Si Th Mn
3 2 1
Cartesian
-5.220 -2.961 0.281 Si
-4.411 -1.884 -1.708 Si
-7.315 -4.149 0.394 Si
-2.149 -3.577 -0.402 Th
-0.022 -0.012 0.001 Th
-2.376 -0.731 -1.818 Mn
```

(6)
Material: MgSb2
Method: DFT, GGA-PBE
State: relaxed

Computed properties:
The value obtained for the total energy is -3.249 eV per atom. As for the calculated formation energy: -0.091 eV/atom. The value obtained for the total magnetization is 0.000 μB/f.u.

Cell and atoms, written as POSCAR:
```
MgSb2
1.0
-2.636 8.722 0.512
-0.218 -9.069 0.994
2.458 0.463 4.763
Sb Mg
4 2
Cartesian
-1.172 2.587 1.872 Sb
0.776 -2.471 4.397 Sb
1.520 -7.944 4.546 Sb
-1.916 8.060 1.724 Sb
-0.308 -3.771 2.045 Mg
-0.088 3.887 4.225 Mg
```

Question: What is the total energy in the second record?
Answer: -9.051 eV per atom